No. 1
This record from Materials Project describes a relaxed structure of Li4CrFe3O8. The functional is GGA+U.

Values from the calculation:
The formation energy is -2.057 eV/atom. As for the symmetry: P-1 (2). The distance to the lowest polymorph of the same formula is 1 meV/atom. The value obtained for the volume is 9.4 Å³/atom.

Structure (POSCAR):
```
Li4CrFe3O8
1.0
5.1854 0.0000 0.0000
-1.7145 5.7108 0.0000
-0.8534 -3.3676 10.1762
Li Cr Fe O
8 2 6 16
direct
0.0000 0.0628 0.3742 Li
0.0002 0.1875 0.1257 Li
0.9998 0.8125 0.8743 Li
0.0000 0.9372 0.6258 Li
0.0014 0.6885 0.1253 Li
0.0017 0.4389 0.6255 Li
0.9983 0.5611 0.3745 Li
0.9986 0.3115 0.8747 Li
0.5002 0.1252 0.2502 Cr
0.4998 0.8748 0.7498 Cr
0.5000 0.0000 0.5000 Fe
0.5002 0.2499 0.0000 Fe
0.5001 0.3751 0.7502 Fe
0.5000 0.5000 0.5000 Fe
0.4999 0.6249 0.2498 Fe
0.4998 0.7501 0.0000 Fe
0.2692 0.4738 0.0635 O
0.2705 0.2248 0.5642 O
0.2713 0.6014 0.8137 O
0.2713 0.8508 0.3137 O
0.2723 0.0985 0.8140 O
0.2722 0.3490 0.3139 O
0.2715 0.7255 0.5652 O
0.2726 0.9763 0.0659 O
0.7274 0.0237 0.9341 O
0.7285 0.2745 0.4348 O
0.7278 0.6510 0.6861 O
0.7277 0.9015 0.1860 O
0.7287 0.1492 0.6863 O
0.7287 0.3986 0.1863 O
0.7295 0.7752 0.4358 O
0.7308 0.5262 0.9366 O
```

---

No. 2
This record from Materials Project describes a relaxed structure of KLiW6O18. The functional is GGA+U.

Values from the calculation:
The formation energy is -2.193 eV/atom. As for the symmetry: Cm (8). The value obtained for the volume is 14.7 Å³/atom.

Structure (POSCAR):
```
KLiW6O18
1.0
6.5148 -3.7833 0.0000
6.5148 3.7833 0.0000
-0.0017 0.0000 7.7699
K Li W O
1 1 6 18
direct
0.0000 0.0000 0.0000 K
0.2962 0.2962 0.4841 Li
0.4975 0.9949 0.7359 W
0.4993 0.4993 0.2329 W
0.4992 0.4992 0.7338 W
0.5077 0.9962 0.2313 W
0.9949 0.4975 0.7359 W
0.9962 0.5077 0.2313 W
0.0100 0.4937 0.9833 O
0.2109 0.5732 0.2394 O
0.2148 0.5720 0.7269 O
0.2155 0.2155 0.2444 O
0.2157 0.2157 0.7221 O
0.4249 0.7850 0.7421 O
0.4251 0.7890 0.2248 O
0.4937 0.0100 0.9833 O
0.4942 0.4942 0.9835 O
0.5028 0.5028 0.4831 O
0.5045 0.9925 0.4833 O
0.5720 0.2148 0.7269 O
0.5732 0.2109 0.2394 O
0.7850 0.4249 0.7421 O
0.7884 0.7884 0.7434 O
0.7890 0.4251 0.2248 O
0.7887 0.7887 0.2232 O
0.9925 0.5045 0.4833 O
```

---

No. 3
This record from Materials Project describes a relaxed structure of Mn2NiO3. The functional is GGA+U.

Values from the calculation:
The formation energy is -1.684 eV/atom. As for the symmetry: P-3m1 (164). The distance to the lowest polymorph of the same formula is 5 meV/atom. The value obtained for the volume is 10.8 Å³/atom.

Structure (POSCAR):
```
Mn2NiO3
1.0
3.1319 0.0000 0.0000
-1.5659 2.7123 0.0000
0.0000 0.0000 7.6050
Mn Ni O
2 1 3
direct
0.3333 0.6667 0.1735 Mn
0.6667 0.3333 0.8265 Mn
0.0000 0.0000 0.5000 Ni
0.0000 0.0000 0.0000 O
0.3333 0.6667 0.6539 O
0.6667 0.3333 0.3461 O
```

---

No. 4
This record from Materials Project describes a relaxed structure of LiCr2O4. The functional is GGA+U.

Values from the calculation:
The formation energy is -1.999 eV/atom. As for the symmetry: P1 (1). The distance to the lowest polymorph of the same formula is 259 meV/atom. The value obtained for the volume is 10.5 Å³/atom.

Structure (POSCAR):
```
LiCr2O4
1.0
5.9186 0.0000 0.0000
0.0135 5.9747 0.0000
0.0406 0.0520 8.3201
Li Cr O
4 8 16
direct
0.0000 0.0000 0.0000 Li
0.0013 0.5020 0.2485 Li
0.5021 0.5037 0.5023 Li
0.5059 0.9984 0.7487 Li
0.0018 0.2528 0.6242 Cr
0.0046 0.7484 0.6237 Cr
0.2521 0.0021 0.3751 Cr
0.2522 0.4986 0.8743 Cr
0.4991 0.2560 0.1230 Cr
0.5054 0.7524 0.1250 Cr
0.7537 0.0038 0.3752 Cr
0.7551 0.5012 0.8741 Cr
0.0074 0.7837 0.3794 O
0.2270 0.4990 0.6362 O
0.2320 0.0039 0.6036 O
0.2777 0.0039 0.1426 O
0.2865 0.4942 0.1203 O
0.4995 0.2266 0.3594 O
0.5083 0.7875 0.3670 O
0.5104 0.2682 0.8936 O
0.5111 0.7170 0.8847 O
0.7242 0.0127 0.1414 O
0.7294 0.4974 0.1088 O
0.7735 0.5033 0.6427 O
0.7740 0.9981 0.6024 O
0.9944 0.2802 0.8662 O
0.9989 0.2193 0.3801 O
0.9994 0.7237 0.8643 O
```

---

E (MP2020) values, unit eV for the cell shown, following the record order: -230.4; -226.9; -49.1; -220.0.